Record 1
Computed, not measured: a geometry-optimized LuPb3 structure at the r²SCAN level of DFT.

Structure (extended XYZ):
```
4
Lattice="4.8259 0.0000 0.0000 0.0000 4.8259 0.0000 0.0000 0.0000 4.8259" Properties=species:S:1:pos:R:3 pbc="T T T"
Lu 0.0000 0.0000 0.0000
Pb 0.0000 2.4130 2.4130
Pb 2.4130 2.4130 0.0000
Pb 2.4130 0.0000 2.4130
```

Its formation enthalpy at 0 K is -0.94 eV/f.u.



Record 2
Computed, not measured: a geometry-optimized La3Ge3Br2 structure at the r²SCAN level of DFT.

Structure (extended XYZ):
```
16
Lattice="4.3535 -0.0011 0.0004 -2.1789 9.2900 -1.3115 0.0009 -0.0146 10.9256" Properties=species:S:1:pos:R:3 pbc="T T T"
La -0.0029 8.7101 0.6165
La 2.1795 3.2782 1.1429
La -0.0040 5.9962 8.4714
La 2.1787 0.5637 8.9975
La 2.1772 2.0721 5.0485
La -0.0015 7.2016 4.5671
Ge 2.1742 8.0265 9.2951
Ge 2.1740 8.8595 2.9436
Ge 0.0012 1.7099 2.8251
Ge 0.0015 0.4148 6.6711
Ge 2.1743 7.5645 6.7895
Ge 0.0013 1.2478 0.3191
Br -0.0023 4.1678 6.0658
Br 0.0033 5.5549 0.6303
Br 2.1776 5.1067 3.5486
Br 2.1722 3.7194 8.9840
```

Its formation enthalpy at 0 K is -11.44 eV/f.u.



Record 3
Computed, not measured: a geometry-optimized YErMg2 structure at the r²SCAN level of DFT.

Structure (extended XYZ):
```
4
Lattice="-3.8845 -0.3976 3.6630 -5.0767 -0.7088 -1.5461 -2.4225 -4.7010 0.8353" Properties=species:S:1:pos:R:3 pbc="T T T"
Y -8.5377 -4.3555 2.2142
Er -2.8459 -1.4518 0.7381
Mg -11.3817 -5.8064 2.9518
Mg -5.6938 -2.9047 1.4766
```

Its formation enthalpy at 0 K is -0.36 eV/f.u.



Record 4
Computed, not measured: a geometry-optimized ZnFe2O4 structure at the r²SCAN level of DFT.

Structure (extended XYZ):
```
14
Lattice="5.1668 -0.0123 -2.9718 -3.4351 4.8707 -0.0160 -0.0044 0.0162 5.9689" Properties=species:S:1:pos:R:3 pbc="T T T"
Zn 0.8587 0.6202 4.4783
Zn 0.8686 4.2544 -1.4971
Fe -0.8539 4.8726 1.4825
Fe 0.8636 2.4373 1.4905
Fe 3.4448 2.4392 2.9891
Fe 3.4470 2.4311 0.0047
O -2.4444 3.6097 1.4805
O -0.0629 3.6117 2.8632
O -0.0609 3.6041 0.1094
O 2.5871 3.5117 1.4933
O 1.7882 1.2705 2.8717
O 1.7902 1.2629 0.1179
O -0.8597 1.3628 1.4878
O 4.1717 1.2648 1.5007
```

Its formation enthalpy at 0 K is -11.54 eV/f.u.



Record 5
Computed, not measured: a geometry-optimized Pr2TeO6 structure at the r²SCAN level of DFT.

Structure (extended XYZ):
```
36
Lattice="5.4771 0.0000 0.0000 0.0000 9.3959 0.0000 0.0000 0.0000 10.2708" Properties=species:S:1:pos:R:3 pbc="T T T"
Pr 0.1759 2.0413 1.4196
Pr 2.5627 7.3545 6.5549
Pr 5.3012 6.7393 3.7158
Pr 2.9144 2.6566 8.8512
Pr 0.1478 0.9839 5.5611
Pr 2.5907 8.4120 0.4257
Pr 5.3293 5.6819 9.8451
Pr 2.8864 3.7140 4.7097
Te 2.9724 0.0412 3.6726
Te 5.2433 9.3547 8.8080
Te 2.5047 4.7391 1.4628
Te 0.2339 4.6568 6.5982
O 2.3776 1.3848 4.9132
O 0.3610 8.0111 10.0486
O 3.0995 6.0827 0.2222
O 5.1162 3.3132 5.3576
O 3.9297 3.6549 0.6781
O 4.2860 5.7410 5.8135
O 1.5474 8.3529 4.4573
O 1.1911 1.0430 9.5926
O 1.3795 3.8941 0.1013
O 1.3590 5.5018 5.2367
O 4.0976 8.5921 5.0341
O 4.1181 0.8038 10.1695
O 1.0684 5.9896 1.8033
O 1.6701 3.4063 6.9386
O 4.4087 1.2917 3.3321
O 3.8070 8.1042 8.4675
O 1.8388 0.5125 2.2207
O 0.8998 8.8833 7.3561
O 3.6383 5.2105 2.9147
O 4.5773 4.1854 8.0501
O 1.7604 3.4287 2.6311
O 0.9781 5.9672 7.7664
O 3.7167 8.1266 2.5043
O 4.4990 1.2693 7.6397
```

Its formation enthalpy at 0 K is -24.55 eV/f.u.



Record 6
Computed, not measured: a geometry-optimized HoSiNi4 structure at the r²SCAN level of DFT.

Structure (extended XYZ):
```
6
Lattice="2.4982 -4.0379 0.0000 2.4982 4.0379 0.0000 0.0000 0.0000 3.9071" Properties=species:S:1:pos:R:3 pbc="T T T"
Ho 0.0000 0.0000 0.0000
Si 2.4982 0.0000 1.9536
Ni 2.4982 1.2849 0.0000
Ni 2.4982 -1.2849 0.0000
Ni 1.2491 -2.0189 1.9536
Ni 1.2491 2.0189 1.9536
```

Its formation enthalpy at 0 K is -3.66 eV/f.u.



Record 7
Computed, not measured: a geometry-optimized Li3ErBr6 structure at the r²SCAN level of DFT.

Structure (extended XYZ):
```
10
Lattice="0.3586 -2.9259 6.1635 5.7273 1.2244 -3.5182 2.4767 5.2399 3.6196" Properties=species:S:1:pos:R:3 pbc="T T T"
Li 2.1219 -1.5628 2.9838
Li 3.9450 -0.1534 -0.3040
Li 2.4502 0.3537 6.4346
Er 5.7148 1.2147 -3.4955
Br 2.4999 2.8724 5.0808
Br 4.1865 4.2164 1.7324
Br 6.1584 0.6999 1.3184
Br 4.2309 -0.7501 4.4878
Br 6.4575 2.7322 4.6711
Br 2.1653 0.8527 1.4854
```

Its formation enthalpy at 0 K is -19.08 eV/f.u.



Record 8
Computed, not measured: a geometry-optimized Sm8Ga48Cu3 structure at the r²SCAN level of DFT.

Structure (extended XYZ):
```
59
Lattice="-3.8493 -4.3534 -1.6616 3.2863 -1.0083 -4.9713 16.4870 -20.3100 15.0180" Properties=species:S:1:pos:R:3 pbc="T T T"
Sm -0.0163 -6.0415 -0.6224
Sm 8.2059 -16.1701 6.8671
Sm 3.5105 -4.3183 -2.3147
Sm 11.7720 -14.4955 5.2107
Sm 7.7198 -9.5037 1.5195
Sm 15.9813 -19.6808 9.0449
Sm 4.1503 -11.1741 3.1729
Sm 12.3724 -21.3028 10.6624
Ga 5.6091 -11.4607 6.0282
Ga 13.8740 -21.7165 13.4815
Ga 10.8176 -10.2902 1.8923
Ga 12.0189 -23.7844 12.6984
Ga 7.2547 -11.9604 3.5449
Ga 15.4494 -22.1762 11.1072
Ga 5.3282 -14.1356 2.7192
Ga 13.6069 -24.2595 10.3355
Ga -1.2427 -3.0751 -0.2685
Ga 10.3150 -14.2124 2.3556
Ga -3.0765 -5.1495 -1.0836
Ga 5.1076 -15.3805 6.4918
Ga 0.3079 -3.5629 -2.6535
Ga 8.6674 -13.7117 4.8406
Ga -1.5134 -5.6528 -3.4573
Ga 10.5961 -11.5353 5.6675
Ga 1.5641 -6.9380 1.8786
Ga 9.8078 -17.1105 9.3703
Ga 6.2543 -5.6132 -1.5010
Ga 14.4896 -15.7807 6.0189
Ga 3.8020 -6.7628 -0.3635
Ga 12.0640 -16.9178 7.1439
Ga 1.3688 -8.7979 -0.4223
Ga 9.6157 -18.9398 7.1072
Ga 6.1192 -8.5612 -0.9785
Ga 14.3668 -18.7325 6.5226
Ga 1.4271 -9.8897 2.3658
Ga 9.6520 -20.0565 9.8859
Ga 3.8617 -8.7484 1.2365
Ga 12.1274 -18.8961 8.7377
Ga 6.3106 -6.7386 1.2761
Ga 14.5603 -16.8898 8.8022
Ga 1.3319 -3.1546 -0.3168
Ga 9.5950 -13.3336 7.2100
Ga 1.0504 -5.8354 -3.6332
Ga 9.3134 -16.0145 3.8936
Ga 6.3290 -12.3380 1.1750
Ga 14.5921 -22.5171 8.7019
Ga 6.6105 -9.6572 4.4915
Ga 14.8736 -19.8363 12.0183
Ga 2.6617 -4.7927 0.8945
Ga 10.9204 -14.9664 8.4174
Ga 2.3802 -7.4736 -2.4219
Ga 10.6389 -17.6473 5.1009
Ga 5.0035 -10.7052 -0.0323
Ga 13.2622 -20.8790 7.4905
Ga 5.2851 -8.0244 3.2841
Ga 13.5438 -18.1981 10.8070
Cu 6.1781 -13.6721 5.0200
Cu 1.5024 -1.8446 -4.1439
Cu 9.7459 -11.9996 3.3651
```

Its formation enthalpy at 0 K is -22.31 eV/f.u.